The following is a DFT calculation (PBE) of an optimized crystal structure of U2Si3Ir.

Mass density: 11.36 g/cm³
Calculated volume: 18.33 Å³/atom
Calculated formation energy: -3.16 eV/f.u.

a = 3.7301 Å, b = 4.1700 Å, c = 7.0699 Å
α = 90.00°, β = 90.00°, γ = 90.00°
Last column: nearest neighbours and their distance in Å.
Positions (direct):
U1 0.0000 0.0000 0.0000  10 Si 2.97-3.04, 2 Ir 3.00
U2 0.0000 0.5000 0.4986  8 Si 3.00-3.06, 4 Ir 3.03
Si1 0.5000 0.0000 0.6738  2 Si 2.36, 1 Ir 2.41
Si2 0.5000 0.5000 0.1594  1 Si 2.33, 2 Ir 2.42
Si3 0.5000 0.5000 0.8302  3 Si 2.33-2.36
Ir1 0.5000 0.0000 0.3329  3 Si 2.41-2.42



The following is a DFT calculation (PBE) of an optimized crystal structure of Y2Si2O7.

Mass density: 4.26 g/cm³
Calculated volume: 12.25 Å³/atom
Calculated formation energy: -40.47 eV/f.u.

a = 6.6576 Å, b = 6.7070 Å, c = 36.3649 Å
α = 94.47°, β = 91.31°, γ = 91.77°
Last column: nearest neighbours and their distance in Å.
Positions (direct):
Y1 0.0467 0.3438 0.3713  6 O 2.28-2.39
Y2 0.0489 0.8315 0.2063  7 O 2.25-2.47
Y3 0.0499 0.8357 0.8694  7 O 2.26-2.52
Y4 0.0930 0.3211 0.7074  6 O 2.25-2.50
Y5 0.1173 0.6097 0.9520  6 O 2.29-2.47
Y6 0.1175 0.1021 0.4514  6 O 2.29-2.51
Y7 0.3144 0.3424 0.8696  8 O 2.30-2.56
Y8 0.3200 0.8349 0.3670  6 O 2.29-2.48
Y9 0.3495 0.8295 0.7013  5 O 2.24-2.46
Y10 0.3764 0.6907 0.0457  6 O 2.22-2.44
Y11 0.3778 0.2001 0.5448  6 O 2.21-2.43
Y12 0.3816 0.2906 0.1965  6 O 2.27-2.44
Y13 0.6184 0.7094 0.8035  6 O 2.27-2.44
Y14 0.6222 0.7999 0.4552  6 O 2.21-2.43
Y15 0.6236 0.3093 0.9543  6 O 2.22-2.44
Y16 0.6505 0.1705 0.2987  5 O 2.24-2.46
Y17 0.6800 0.1651 0.6330  6 O 2.29-2.48
Y18 0.6856 0.6576 0.1304  8 O 2.30-2.56
Y19 0.8825 0.8979 0.5486  6 O 2.29-2.51
Y20 0.8827 0.3903 0.0480  6 O 2.29-2.47
Y21 0.9070 0.6789 0.2926  6 O 2.25-2.50
Y22 0.9501 0.1643 0.1306  7 O 2.26-2.52
Y23 0.9511 0.1685 0.7937  7 O 2.25-2.47
Y24 0.9533 0.6562 0.6287  6 O 2.28-2.39
Si1 0.1339 0.1381 0.9594  4 O 1.62-1.67
Si2 0.1372 0.6359 0.4597  4 O 1.62-1.67
Si3 0.1518 0.6535 0.7901  4 O 1.62-1.68
Si4 0.1575 0.1560 0.2908  4 O 1.62-1.69
Si5 0.1580 0.1393 0.6286  4 O 1.62-1.66
Si6 0.1608 0.6369 0.1305  4 O 1.62-1.67
Si7 0.3744 0.2105 0.0307  4 O 1.61-1.67
Si8 0.3759 0.7167 0.5314  4 O 1.61-1.67
Si9 0.4010 0.5429 0.2782  4 O 1.60-1.72
Si10 0.4579 0.1764 0.7766  4 O 1.62-1.73
Si11 0.4914 0.6529 0.6075  4 O 1.61-1.75
Si12 0.4959 0.1465 0.1061  4 O 1.62-1.73
Si13 0.5041 0.8535 0.8939  4 O 1.62-1.73
Si14 0.5086 0.3471 0.3925  4 O 1.61-1.75
Si15 0.5421 0.8236 0.2234  4 O 1.62-1.73
Si16 0.5990 0.4571 0.7218  4 O 1.60-1.72
Si17 0.6241 0.2833 0.4686  4 O 1.61-1.67
Si18 0.6256 0.7895 0.9693  4 O 1.61-1.67
Si19 0.8392 0.3631 0.8695  4 O 1.62-1.67
Si20 0.8420 0.8607 0.3714  4 O 1.62-1.66
Si21 0.8425 0.8440 0.7092  4 O 1.62-1.69
Si22 0.8482 0.3465 0.2099  4 O 1.62-1.68
Si23 0.8628 0.3641 0.5403  4 O 1.62-1.67
Si24 0.8661 0.8619 0.0406  4 O 1.62-1.67
O1 0.0039 0.5203 0.8922  1 Si 1.66
O2 0.0085 0.0217 0.3918  1 Si 1.65
O3 0.0124 0.3303 0.6390  1 Si 1.66
O4 0.0146 0.8307 0.1404  1 Si 1.67
O5 0.0205 0.6987 0.6922  1 Si 1.66
O6 0.0260 0.1889 0.1949  1 Si 1.68
O7 0.0450 0.2207 0.5253  1 Si 1.65
O8 0.0466 0.7164 0.0253  1 Si 1.65
O9 0.0485 0.4537 0.7667  1 Si 1.65
O10 0.0582 0.9652 0.2661  1 Si 1.62
O11 0.0644 0.9313 0.9357  1 Si 1.62
O12 0.0684 0.4274 0.4365  1 Si 1.62
O13 0.2228 0.5656 0.1708  1 Si 1.62
O14 0.2256 0.3862 0.0438  1 Si 1.61
O15 0.2257 0.8929 0.5435  1 Si 1.61
O16 0.2279 0.0741 0.6688  1 Si 1.62
O17 0.2532 0.6707 0.3044  1 Si 1.60
O18 0.2718 0.6154 0.8298  1 Si 1.68
O19 0.2734 0.0732 0.9951  2 Si 1.65-1.67
O20 0.2802 0.2974 0.9384  1 Si 1.67
O21 0.2809 0.5771 0.4955  2 Si 1.65-1.67
O22 0.2805 0.7928 0.4377  1 Si 1.66
O23 0.2963 0.2125 0.8092  1 Si 1.63
O24 0.2969 0.6975 0.6321  1 Si 1.61
O25 0.3058 0.0983 0.3249  1 Si 1.65
O26 0.3064 0.3039 0.2666  2 Si 1.69-1.72
O27 0.3086 0.1904 0.1331  1 Si 1.63
O28 0.3250 0.7540 0.7661  1 Si 1.62
O29 0.3482 0.0066 0.8771  1 Si 1.62
O30 0.3532 0.1191 0.7365  1 Si 1.62
O31 0.3546 0.1896 0.6051  1 Si 1.62
O32 0.3551 0.5038 0.3756  1 Si 1.63
O33 0.3562 0.6872 0.1065  1 Si 1.62
O34 0.3647 0.9633 0.2088  1 Si 1.63
O35 0.3698 0.1518 0.4023  1 Si 1.65
O36 0.3709 0.6564 0.9046  1 Si 1.64
O37 0.3849 0.4923 0.7018  1 Si 1.62
O38 0.4092 0.0487 0.0629  2 Si 1.67-1.73
O39 0.4107 0.5554 0.5635  2 Si 1.67-1.75
O40 0.4184 0.6060 0.2344  2 Si 1.69-1.73
O41 0.4186 0.1716 0.4819  1 Si 1.64
O42 0.4214 0.6768 0.9829  1 Si 1.64
O43 0.5786 0.3232 0.0171  1 Si 1.64
O44 0.5814 0.8284 0.5181  1 Si 1.64
O45 0.5816 0.3940 0.7656  2 Si 1.69-1.73
O46 0.5893 0.4446 0.4365  2 Si 1.67-1.75
O47 0.5908 0.9513 0.9371  2 Si 1.67-1.73
O48 0.6151 0.5077 0.2982  1 Si 1.62
O49 0.6291 0.3436 0.0954  1 Si 1.64
O50 0.6302 0.8482 0.5977  1 Si 1.65
O51 0.6353 0.0367 0.7912  1 Si 1.63
O52 0.6438 0.3128 0.8935  1 Si 1.62
O53 0.6449 0.4962 0.6244  1 Si 1.63
O54 0.6454 0.8104 0.3949  1 Si 1.62
O55 0.6468 0.8809 0.2635  1 Si 1.62
O56 0.6518 0.9934 0.1229  1 Si 1.62
O57 0.6750 0.2460 0.2339  1 Si 1.62
O58 0.6914 0.8096 0.8669  1 Si 1.63
O59 0.6936 0.6961 0.7334  2 Si 1.69-1.72
O60 0.6942 0.9017 0.6751  1 Si 1.65
O61 0.7031 0.3025 0.3679  1 Si 1.61
O62 0.7037 0.7875 0.1908  1 Si 1.63
O63 0.7195 0.2072 0.5623  1 Si 1.66
O64 0.7191 0.4229 0.5045  2 Si 1.65-1.67
O65 0.7198 0.7026 0.0616  1 Si 1.67
O66 0.7266 0.9268 0.0049  2 Si 1.65-1.67
O67 0.7282 0.3846 0.1702  1 Si 1.68
O68 0.7468 0.3293 0.6956  1 Si 1.60
O69 0.7721 0.9259 0.3312  1 Si 1.62
O70 0.7743 0.1071 0.4565  1 Si 1.61
O71 0.7744 0.6138 0.9562  1 Si 1.61
O72 0.7772 0.4344 0.8292  1 Si 1.62
O73 0.9316 0.5726 0.5635  1 Si 1.62
O74 0.9356 0.0687 0.0643  1 Si 1.62
O75 0.9418 0.0348 0.7339  1 Si 1.62
O76 0.9515 0.5463 0.2333  1 Si 1.65
O77 0.9534 0.2836 0.9747  1 Si 1.65
O78 0.9550 0.7793 0.4747  1 Si 1.65
O79 0.9740 0.8111 0.8051  1 Si 1.68
O80 0.9795 0.3013 0.3078  1 Si 1.66
O81 0.9854 0.1693 0.8596  1 Si 1.67
O82 0.9876 0.6697 0.3610  1 Si 1.66
O83 0.9915 0.9783 0.6082  1 Si 1.65
O84 0.9961 0.4797 0.1078  1 Si 1.66



The following is a DFT calculation (PBE) of an optimized crystal structure of YH18C3S3O18F9.

Mass density: 1.87 g/cm³
Calculated volume: 11.94 Å³/atom
Calculated formation energy: -86.37 eV/f.u.

a = 13.7825 Å, b = 13.7825 Å, c = 7.5479 Å
α = 90.00°, β = 90.00°, γ = 120.00°
Last column: nearest neighbours and their distance in Å.
Positions (direct):
Y1 0.3333 0.6667 0.2500  9 O 2.38-2.58
Y2 0.6667 0.3333 0.7500  9 O 2.38-2.58
H1 0.0939 0.6432 0.1446  1 O 0.98
H2 0.0939 0.6432 0.3554  1 O 0.98
H3 0.1304 0.4905 0.0542  1 O 0.99
H4 0.1304 0.4905 0.4458  1 O 0.99
H5 0.2332 0.5109 0.5659  1 O 0.99
H6 0.2332 0.5109 0.9341  1 O 0.99
H7 0.2777 0.7668 0.5659  1 O 0.99
H8 0.2777 0.7668 0.9341  1 O 0.99
H9 0.3568 0.4508 0.1446  1 O 0.98
H10 0.3568 0.4508 0.3554  1 O 0.98
H11 0.3601 0.8696 0.0542  1 O 0.99
H12 0.3601 0.8696 0.4458  1 O 0.99
H13 0.4508 0.0939 0.6446  1 O 0.98
H14 0.4508 0.0939 0.8554  1 O 0.98
H15 0.4891 0.7223 0.5659  1 O 0.99
H16 0.4891 0.7223 0.9341  1 O 0.99
H17 0.4905 0.3601 0.5542  1 O 0.99
H18 0.4905 0.3601 0.9458  1 O 0.99
H19 0.5095 0.6399 0.0542  1 O 0.99
H20 0.5095 0.6399 0.4458  1 O 0.99
H21 0.5109 0.2777 0.0659  1 O 0.99
H22 0.5109 0.2777 0.4341  1 O 0.99
H23 0.5492 0.9061 0.1446  1 O 0.98
H24 0.5492 0.9061 0.3554  1 O 0.98
H25 0.6399 0.1304 0.5542  1 O 0.99
H26 0.6399 0.1304 0.9458  1 O 0.99
H27 0.6432 0.5492 0.6446  1 O 0.98
H28 0.6432 0.5492 0.8554  1 O 0.98
H29 0.7223 0.2332 0.0659  1 O 0.99
H30 0.7223 0.2332 0.4341  1 O 0.99
H31 0.7668 0.4891 0.0659  1 O 0.99
H32 0.7668 0.4891 0.4341  1 O 0.99
H33 0.8696 0.5095 0.5542  1 O 0.99
H34 0.8696 0.5095 0.9458  1 O 0.99
H35 0.9061 0.3568 0.6446  1 O 0.98
H36 0.9061 0.3568 0.8554  1 O 0.98
C1 0.0335 0.7985 0.7500  3 F 1.35
C2 0.2015 0.2350 0.7500  3 F 1.35
C3 0.2350 0.0335 0.2500  3 F 1.35
C4 0.7650 0.9665 0.7500  3 F 1.35
C5 0.7985 0.7650 0.2500  3 F 1.35
C6 0.9665 0.2015 0.2500  3 F 1.35
S1 0.0672 0.6829 0.7500  3 O 1.46-1.47
S2 0.3171 0.3843 0.7500  3 O 1.46-1.47
S3 0.3843 0.0672 0.2500  3 O 1.46-1.47
S4 0.6157 0.9328 0.7500  3 O 1.46-1.47
S5 0.6829 0.6157 0.2500  3 O 1.46-1.47
S6 0.9328 0.3171 0.2500  3 O 1.46-1.47
O1 0.0170 0.6212 0.5861  1 S 1.46
O2 0.0170 0.6212 0.9139  1 S 1.46
O3 0.1380 0.6487 0.2500  2 H 0.98
O4 0.1902 0.7424 0.7500  1 S 1.47
O5 0.2097 0.5442 0.0289  2 H 0.99
O6 0.2097 0.5442 0.4711  2 H 0.99
O7 0.2576 0.4479 0.7500  1 S 1.47
O8 0.3345 0.7903 0.0289  2 H 0.99
O9 0.3345 0.7903 0.4711  2 H 0.99
O10 0.3513 0.4893 0.2500  2 H 0.98
O11 0.3788 0.3957 0.5861  1 S 1.46
O12 0.3788 0.3957 0.9139  1 S 1.46
O13 0.3957 0.0170 0.0861  1 S 1.46
O14 0.3957 0.0170 0.4139  1 S 1.46
O15 0.4479 0.1902 0.2500  1 S 1.47
O16 0.4558 0.6655 0.0289  2 H 0.99
O17 0.4558 0.6655 0.4711  2 H 0.99
O18 0.4893 0.1380 0.7500  2 H 0.98
O19 0.5107 0.8620 0.2500  2 H 0.98
O20 0.5442 0.3345 0.5289  2 H 0.99
O21 0.5442 0.3345 0.9711  2 H 0.99
O22 0.5521 0.8098 0.7500  1 S 1.47
O23 0.6043 0.9830 0.5861  1 S 1.46
O24 0.6043 0.9830 0.9139  1 S 1.46
O25 0.6212 0.6043 0.0861  1 S 1.46
O26 0.6212 0.6043 0.4139  1 S 1.46
O27 0.6487 0.5107 0.7500  2 H 0.98
O28 0.6655 0.2097 0.5289  2 H 0.99
O29 0.6655 0.2097 0.9711  2 H 0.99
O30 0.7424 0.5521 0.2500  1 S 1.47
O31 0.7903 0.4558 0.5289  2 H 0.99
O32 0.7903 0.4558 0.9711  2 H 0.99
O33 0.8098 0.2576 0.2500  1 S 1.47
O34 0.8620 0.3513 0.7500  2 H 0.98
O35 0.9830 0.3788 0.0861  1 S 1.46
O36 0.9830 0.3788 0.4139  1 S 1.46
F1 0.0771 0.8631 0.6045  1 C 1.35
F2 0.0771 0.8631 0.8955  1 C 1.35
F3 0.0789 0.2450 0.2500  1 C 1.35
F4 0.1369 0.2140 0.6045  1 C 1.35
F5 0.1369 0.2140 0.8955  1 C 1.35
F6 0.1662 0.9211 0.2500  1 C 1.35
F7 0.2140 0.0771 0.1045  1 C 1.35
F8 0.2140 0.0771 0.3955  1 C 1.35
F9 0.2450 0.1662 0.7500  1 C 1.35
F10 0.7550 0.8338 0.2500  1 C 1.35
F11 0.7860 0.9229 0.6045  1 C 1.35
F12 0.7860 0.9229 0.8955  1 C 1.35
F13 0.8338 0.0789 0.7500  1 C 1.35
F14 0.8631 0.7860 0.1045  1 C 1.35
F15 0.8631 0.7860 0.3955  1 C 1.35
F16 0.9211 0.7550 0.7500  1 C 1.35
F17 0.9229 0.1369 0.1045  1 C 1.35
F18 0.9229 0.1369 0.3955  1 C 1.35



The following is a DFT calculation (PBE) of an optimized crystal structure of Cd8Ag5.

Mass density: 9.07 g/cm³
Calculated volume: 20.25 Å³/atom
Calculated formation energy: -0.90 eV/f.u.

a = 8.8111 Å, b = 8.8111 Å, c = 8.8111 Å
α = 109.47°, β = 109.47°, γ = 109.47°
Last column: nearest neighbours and their distance in Å.
Positions (direct):
Cd1 0.0000 0.0000 0.7822  6 Ag 2.97-3.01, 6 Cd 3.02-3.13
Cd2 0.0000 0.2767 0.6514  6 Ag 2.91-3.25, 5 Cd 3.02-3.03
Cd3 0.0000 0.6514 0.2767  6 Ag 2.91-3.25, 5 Cd 3.02-3.03
Cd4 0.0000 0.7822 0.0000  6 Ag 2.97-3.01, 6 Cd 3.02-3.13
Cd5 0.2178 0.2178 0.2178  6 Ag 2.97-3.01, 6 Cd 3.02-3.13
Cd6 0.2767 0.0000 0.6514  6 Ag 2.91-3.25, 5 Cd 3.02-3.03
Cd7 0.2767 0.6514 0.0000  6 Ag 2.91-3.25, 5 Cd 3.02-3.03
Cd8 0.3486 0.3486 0.6253  6 Ag 2.91-3.25, 5 Cd 3.02-3.03
Cd9 0.3486 0.6253 0.3486  6 Ag 2.91-3.25, 5 Cd 3.02-3.03
Cd10 0.3747 0.7233 0.7233  6 Ag 2.91-3.25, 5 Cd 3.02-3.03
Cd11 0.6253 0.3486 0.3486  6 Ag 2.91-3.25, 5 Cd 3.02-3.03
Cd12 0.6514 0.0000 0.2767  6 Ag 2.91-3.25, 5 Cd 3.02-3.03
Cd13 0.6514 0.2767 0.0000  6 Ag 2.91-3.25, 5 Cd 3.02-3.03
Cd14 0.7233 0.3747 0.7233  6 Ag 2.91-3.25, 5 Cd 3.02-3.03
Cd15 0.7233 0.7233 0.3747  6 Ag 2.91-3.25, 5 Cd 3.02-3.03
Cd16 0.7822 0.0000 0.0000  6 Ag 2.97-3.01, 6 Cd 3.02-3.13
Ag1 0.0000 0.0000 0.3453  9 Cd 2.93-3.01, 3 Ag 3.11
Ag2 0.0000 0.3453 0.0000  9 Cd 2.93-3.01, 3 Ag 3.11
Ag3 0.0000 0.3573 0.3573  3 Ag 2.90-3.11, 10 Cd 2.91-3.25
Ag4 0.0000 0.6427 0.6427  3 Ag 2.90-3.11, 10 Cd 2.91-3.25
Ag5 0.3453 0.0000 0.0000  9 Cd 2.93-3.01, 3 Ag 3.11
Ag6 0.3573 0.0000 0.3573  3 Ag 2.90-3.11, 10 Cd 2.91-3.25
Ag7 0.3573 0.3573 0.0000  3 Ag 2.90-3.11, 10 Cd 2.91-3.25
Ag8 0.6427 0.0000 0.6427  3 Ag 2.90-3.11, 10 Cd 2.91-3.25
Ag9 0.6427 0.6427 0.0000  3 Ag 2.90-3.11, 10 Cd 2.91-3.25
Ag10 0.6547 0.6547 0.6547  9 Cd 2.93-3.01, 3 Ag 3.11